1.
Density functional theory data (meta-GGA r2SCAN) for a relaxed Sc5Re2C7 crystal.

```
Sc5Re2C7
1.0
-0.6597 -0.0167 -3.1557
-4.2802 -6.4360 0.9289
-3.3982 7.0654 0.6730
Sc Re C
5 2 7
Direct
0.5000 0.3386 0.2563
0.5000 0.0822 0.7437
0.0000 0.5000 0.0000
0.5000 0.6614 0.7437
0.5000 0.9178 0.2563
0.0000 0.2849 0.5698
0.0000 0.7151 0.4302
0.0000 0.0000 0.0000
0.0000 0.5000 0.5000
0.0000 0.0000 0.5000
0.0000 0.1731 0.0000
0.0000 0.8269 0.0000
0.5000 0.3809 0.7618
0.5000 0.6191 0.2382
```

* formation enthalpy at 0 K: -57.6 kJ per mole of atoms
* calculated total energy: -17.129 eV per atom

2.
Density functional theory data (meta-GGA r2SCAN) for a relaxed SmNi2 crystal.

```
SmNi2
1.0
4.3992 0.0000 2.5399
1.4664 4.1477 2.5399
0.0000 0.0000 5.0798
Sm Ni
2 4
Direct
0.8750 0.8750 0.8750
0.1250 0.1250 0.1250
0.5000 0.5000 0.5000
0.5000 0.5000 0.0000
0.0000 0.5000 0.5000
0.5000 0.0000 0.5000
```

* formation enthalpy at 0 K: -31.3 kJ per mole of atoms
* calculated total energy: -18.223 eV per atom

3.
Density functional theory data (meta-GGA r2SCAN) for a relaxed TmCoGe crystal.

```
TmCoGe
1.0
-0.8960 3.6691 -1.7888
-6.5956 -1.0856 1.0770
0.4997 3.1790 6.2703
Tm Co Ge
4 4 4
Direct
0.2500 0.0123 0.8016
0.2500 0.5124 0.6984
0.7500 0.9877 0.1984
0.7500 0.4877 0.3016
0.2500 0.8457 0.4361
0.2500 0.3459 0.0639
0.7500 0.1543 0.5639
0.7500 0.6542 0.9362
0.2500 0.2042 0.3976
0.2500 0.7042 0.1025
0.7500 0.7957 0.6024
0.7500 0.2958 0.8975
```

* formation enthalpy at 0 K: -63.7 kJ per mole of atoms
* calculated total energy: -21.403 eV per atom

4.
Density functional theory data (meta-GGA r2SCAN) for a relaxed Rb4SbO4 crystal.

```
Rb4SbO4
1.0
6.8421 0.0000 0.0000
0.0000 11.0208 0.2452
0.0000 4.3097 11.0755
Rb Sb O
16 4 16
Direct
0.6969 0.9380 0.6997
0.1726 0.8634 0.6122
0.3948 0.6592 0.9089
0.8031 0.9380 0.1997
0.3274 0.8634 0.1122
0.8977 0.5605 0.8066
0.1052 0.6592 0.4089
0.3977 0.4395 0.6934
0.6023 0.5605 0.3066
0.8948 0.3408 0.5911
0.1023 0.4395 0.1934
0.6726 0.1366 0.8878
0.1969 0.0620 0.8003
0.6052 0.3408 0.0911
0.8274 0.1366 0.3878
0.3031 0.0620 0.3003
0.6235 0.7571 0.5023
0.8765 0.7571 0.0023
0.1235 0.2429 0.9977
0.3765 0.2429 0.4977
0.0164 0.7970 0.8417
0.8656 0.8621 0.4638
0.5314 0.7092 0.6763
0.4836 0.7970 0.3417
0.6344 0.8621 0.9638
0.7321 0.5875 0.5262
0.2321 0.4125 0.9738
0.9686 0.7092 0.1763
0.0314 0.2908 0.8237
0.7679 0.5875 0.0262
0.2679 0.4125 0.4738
0.3656 0.1379 0.0362
0.5164 0.2030 0.6583
0.4686 0.2908 0.3237
0.1344 0.1379 0.5362
0.9836 0.2030 0.1583
```

* formation enthalpy at 0 K: -146.0 kJ per mole of atoms
* calculated total energy: -13.215 eV per atom

5.
Density functional theory data (meta-GGA r2SCAN) for a relaxed LiZn2Fe4O8 crystal.

```
LiZn2Fe4O8
1.0
5.3945 0.2016 2.9585
1.9882 5.0187 2.9585
0.0000 0.0000 5.9170
Li Zn Fe O
1 2 4 8
Direct
0.0246 0.0246 0.4754
0.0962 0.5617 0.6710
0.5617 0.0962 0.6710
0.9828 0.9828 0.0172
0.2945 0.2945 0.2055
0.6228 0.6228 0.1484
0.6228 0.6228 0.6061
0.3984 0.3984 0.3758
0.3984 0.3984 0.8274
0.4011 0.9075 0.3457
0.9075 0.4011 0.3457
0.3723 0.8516 0.8881
0.8516 0.3723 0.8881
0.8681 0.8681 0.4046
0.8681 0.8681 0.8593
```

* formation enthalpy at 0 K: -151.4 kJ per mole of atoms
* calculated total energy: -9.945 eV per atom

6.
Density functional theory data (meta-GGA r2SCAN) for a relaxed Na2H18SO9 crystal.

```
Na2H18SO9
1.0
9.1738 0.0000 0.0000
0.0000 9.1738 0.0000
0.0000 0.0000 12.4768
Na H S O
8 72 4 36
Direct
0.6929 0.5000 0.7500
0.3071 0.5000 0.2500
0.5000 0.6929 0.5000
0.5000 0.3071 0.0000
0.0000 0.8566 0.0000
0.0000 0.1434 0.5000
0.1434 0.0000 0.7500
0.8566 0.0000 0.2500
0.4041 0.5001 0.6626
0.5959 0.4999 0.1626
0.4999 0.4041 0.4126
0.5001 0.5959 0.9126
0.5959 0.5001 0.3374
0.4041 0.4999 0.8374
0.5001 0.4041 0.5874
0.4999 0.5959 0.0874
0.1180 0.7952 0.2112
0.8820 0.2048 0.7112
0.2048 0.1180 0.9612
0.7952 0.8820 0.4612
0.8820 0.7952 0.7888
0.1180 0.2048 0.2888
0.7952 0.1180 0.0388
0.2048 0.8820 0.5388
0.9652 0.7192 0.2163
0.0348 0.2808 0.7163
0.2808 0.9652 0.9663
0.7192 0.0348 0.4663
0.0348 0.7192 0.7837
0.9652 0.2808 0.2837
0.7192 0.9652 0.0337
0.2808 0.0348 0.5337
0.9777 0.5293 0.6555
0.0223 0.4707 0.1555
0.4707 0.9777 0.4055
0.5293 0.0223 0.9055
0.0223 0.5293 0.3445
0.9777 0.4707 0.8445
0.5293 0.9777 0.5945
0.4707 0.0223 0.0945
0.8682 0.4500 0.5751
0.1318 0.5500 0.0751
0.5500 0.8682 0.3251
0.4500 0.1318 0.8251
0.1318 0.4500 0.4249
0.8682 0.5500 0.9249
0.4500 0.8682 0.6749
0.5500 0.1318 0.1749
0.7175 0.7093 0.0109
0.2825 0.2907 0.5109
0.2907 0.7175 0.7609
0.7093 0.2825 0.2609
0.2825 0.7093 0.9891
0.7175 0.2907 0.4891
0.7093 0.7175 0.2391
0.2907 0.2825 0.7391
0.8162 0.6188 0.0896
0.1838 0.3812 0.5896
0.3812 0.8162 0.8396
0.6188 0.1838 0.3396
0.1838 0.6188 0.9104
0.8162 0.3812 0.4104
0.6188 0.8162 0.1604
0.3812 0.1838 0.6604
0.8164 0.6540 0.5289
0.1836 0.3460 0.0289
0.3460 0.8164 0.2789
0.6540 0.1836 0.7789
0.1836 0.6540 0.4711
0.8164 0.3460 0.9711
0.6540 0.8164 0.7211
0.3460 0.1836 0.2211
0.7895 0.6462 0.4051
0.2105 0.3538 0.9051
0.3538 0.7895 0.1551
0.6462 0.2105 0.6551
0.2105 0.6462 0.5949
0.7895 0.3538 0.0949
0.6462 0.7895 0.8449
0.3538 0.2105 0.3449
0.8145 0.5000 0.2500
0.1855 0.5000 0.7500
0.5000 0.8145 0.0000
0.5000 0.1855 0.5000
0.4984 0.4984 0.6250
0.5016 0.5016 0.1250
0.5016 0.4984 0.3750
0.4984 0.5016 0.8750
0.0130 0.8106 0.1976
0.9870 0.1894 0.6976
0.1894 0.0130 0.9476
0.8106 0.9870 0.4476
0.9870 0.8106 0.8024
0.0130 0.1894 0.3024
0.8106 0.0130 0.0524
0.1894 0.9870 0.5524
0.8802 0.5350 0.6231
0.1198 0.4650 0.1231
0.4650 0.8802 0.3731
0.5350 0.1198 0.8731
0.1198 0.5350 0.3769
0.8802 0.4650 0.8769
0.5350 0.8802 0.6269
0.4650 0.1198 0.1269
0.8170 0.6698 0.0200
0.1830 0.3302 0.5200
0.3302 0.8170 0.7700
0.6698 0.1830 0.2700
0.1830 0.6698 0.9800
0.8170 0.3302 0.4800
0.6698 0.8170 0.2300
0.3302 0.1830 0.7300
0.7628 0.7010 0.4696
0.2372 0.2990 0.9696
0.2990 0.7628 0.2196
0.7010 0.2372 0.7196
0.2372 0.7010 0.5304
0.7628 0.2990 0.0304
0.7010 0.7628 0.7804
0.2990 0.2372 0.2804
```

* formation enthalpy at 0 K: -105.0 kJ per mole of atoms
* calculated total energy: -5.459 eV per atom

7.
Density functional theory data (meta-GGA r2SCAN) for a relaxed CaGa2 crystal.

```
CaGa2
1.0
-1.5332 -2.4791 -3.0776
0.5602 -1.5638 3.8998
-4.1099 1.2077 1.0746
Ca Ga
1 2
Direct
0.0000 0.0000 0.0000
0.3333 0.6667 0.5000
0.6667 0.3333 0.5000
```

* formation enthalpy at 0 K: -55.8 kJ per mole of atoms
* calculated total energy: -10.553 eV per atom

8.
Density functional theory data (meta-GGA r2SCAN) for a relaxed RbAgF3 crystal.

```
RbAgF3
1.0
2.7605 -3.2781 -0.7588
4.1781 -3.0320 3.3340
-4.4710 -3.0931 -2.8641
Rb Ag F
1 1 3
Direct
0.4969 0.5015 0.0015
0.9988 0.5006 0.5006
0.4987 0.0006 0.0006
0.4987 0.5008 0.5008
0.4999 0.0000 0.5000
```

* formation enthalpy at 0 K: -198.1 kJ per mole of atoms
* calculated total energy: -10.986 eV per atom

9.
Density functional theory data (meta-GGA r2SCAN) for a relaxed Na3LaP2O8 crystal.

```
Na3LaP2O8
1.0
5.3257 0.0000 0.0000
0.0000 13.8991 0.0000
0.0000 0.0000 18.7454
Na La P O
24 8 16 64
Direct
0.0157 0.7844 0.5073
0.9843 0.2156 0.0073
0.9843 0.2844 0.5073
0.0157 0.7156 0.0073
0.0045 0.0492 0.8496
0.9955 0.9508 0.3496
0.9955 0.5492 0.8496
0.0045 0.4508 0.3496
0.0044 0.1335 0.6732
0.9956 0.8665 0.1732
0.9956 0.6335 0.6732
0.0044 0.3665 0.1732
0.5137 0.2017 0.7703
0.4863 0.7983 0.2703
0.4863 0.7017 0.7703
0.5137 0.2983 0.2703
0.4617 0.0324 0.6136
0.5383 0.9676 0.1136
0.5383 0.5324 0.6136
0.4617 0.4676 0.1136
0.4986 0.1148 0.9504
0.5014 0.8852 0.4504
0.5014 0.6148 0.9504
0.4986 0.3852 0.4504
0.0619 0.3824 0.6977
0.9381 0.6176 0.1977
0.9381 0.8824 0.6977
0.0619 0.1176 0.1977
0.4515 0.3664 0.9250
0.5485 0.6336 0.4250
0.5485 0.8664 0.9250
0.4515 0.1336 0.4250
0.0267 0.5236 0.5193
0.9733 0.4764 0.0193
0.9733 0.0236 0.5193
0.0267 0.9764 0.0193
0.0142 0.7668 0.8478
0.9858 0.2332 0.3478
0.9858 0.2668 0.8478
0.0142 0.7332 0.3478
0.5252 0.4826 0.7749
0.4748 0.5174 0.2749
0.4748 0.9826 0.7749
0.5252 0.0174 0.2749
0.5348 0.2725 0.6034
0.4652 0.7275 0.1034
0.4652 0.7725 0.6034
0.5348 0.2275 0.1034
0.4009 0.1974 0.6492
0.5991 0.8026 0.1492
0.5991 0.6974 0.6492
0.4009 0.3026 0.1492
0.3049 0.5310 0.7355
0.6951 0.4690 0.2355
0.6951 0.0310 0.7355
0.3049 0.9690 0.2355
0.0941 0.1225 0.5047
0.9059 0.8775 0.0047
0.9059 0.6225 0.5047
0.0941 0.3775 0.0047
0.2032 0.2200 0.8893
0.7968 0.7800 0.3893
0.7968 0.7200 0.8893
0.2032 0.2800 0.3893
0.3123 0.5290 0.5037
0.6877 0.4710 0.0037
0.6877 0.0290 0.5037
0.3123 0.9710 0.0037
0.0975 0.5522 0.9715
0.9025 0.4478 0.4715
0.9025 0.0522 0.9715
0.0975 0.9478 0.4715
0.2285 0.0113 0.7384
0.7715 0.9887 0.2384
0.7715 0.5113 0.7384
0.2285 0.4887 0.2384
0.4127 0.3717 0.6158
0.5873 0.6283 0.1158
0.5873 0.8717 0.6158
0.4127 0.1283 0.1158
0.4878 0.3726 0.7738
0.5122 0.6274 0.2738
0.5122 0.8726 0.7738
0.4878 0.1274 0.2738
0.0203 0.3770 0.8478
0.9797 0.6230 0.3478
0.9797 0.8770 0.8478
0.0203 0.1230 0.3478
0.1830 0.7764 0.6238
0.8170 0.2236 0.1238
0.8170 0.2764 0.6238
0.1830 0.7236 0.1238
0.0080 0.7312 0.7701
0.9920 0.2688 0.2701
0.9920 0.2312 0.7701
0.0080 0.7688 0.2701
0.4718 0.0167 0.8530
0.5282 0.9833 0.3530
0.5282 0.5167 0.8530
0.4718 0.4833 0.3530
0.0141 0.9998 0.5988
0.9859 0.0002 0.0988
0.9859 0.4998 0.5988
0.0141 0.5002 0.0988
0.7366 0.2373 0.8824
0.2634 0.7627 0.3824
0.2634 0.7373 0.8824
0.7366 0.2627 0.3824
0.5222 0.2501 0.5230
0.4778 0.7499 0.0230
0.4778 0.7501 0.5230
0.5222 0.2499 0.0230
```

* formation enthalpy at 0 K: -271.8 kJ per mole of atoms
* calculated total energy: -10.405 eV per atom

10.
Density functional theory data (meta-GGA r2SCAN) for a relaxed LiTm2Co crystal.

```
LiTm2Co
1.0
1.7245 3.3798 2.8621
-2.6465 1.6581 3.5826
1.1533 -1.0489 4.4898
Li Tm Co
1 2 1
Direct
0.7500 0.7500 0.7500
0.5000 0.5000 0.5000
0.0000 0.0000 0.0000
0.2500 0.2500 0.2500
```

* formation enthalpy at 0 K: -4.7 kJ per mole of atoms
* calculated total energy: -21.515 eV per atom

Question: Among the records above, which one has the highest formation enthalpy at 0 K?
Answer: LiTm2Co

What did the first record say?
Density functional theory data (meta-GGA r2SCAN) for a relaxed Sc5Re2C7 crystal.

```
Sc5Re2C7
1.0
-0.6597 -0.0167 -3.1557
-4.2802 -6.4360 0.9289
-3.3982 7.0654 0.6730
Sc Re C
5 2 7
Direct
0.5000 0.3386 0.2563
0.5000 0.0822 0.7437
0.0000 0.5000 0.0000
0.5000 0.6614 0.7437
0.5000 0.9178 0.2563
0.0000 0.2849 0.5698
0.0000 0.7151 0.4302
0.0000 0.0000 0.0000
0.0000 0.5000 0.5000
0.0000 0.0000 0.5000
0.0000 0.1731 0.0000
0.0000 0.8269 0.0000
0.5000 0.3809 0.7618
0.5000 0.6191 0.2382
```

* formation enthalpy at 0 K: -57.6 kJ per mole of atoms
* calculated total energy: -17.129 eV per atom

Copy entry 10 word for word.
Density functional theory data (meta-GGA r2SCAN) for a relaxed LiTm2Co crystal.

```
LiTm2Co
1.0
1.7245 3.3798 2.8621
-2.6465 1.6581 3.5826
1.1533 -1.0489 4.4898
Li Tm Co
1 2 1
Direct
0.7500 0.7500 0.7500
0.5000 0.5000 0.5000
0.0000 0.0000 0.0000
0.2500 0.2500 0.2500
```

* formation enthalpy at 0 K: -4.7 kJ per mole of atoms
* calculated total energy: -21.515 eV per atom

Question: Look up the calculated total energy of the sixth one.
Answer: -5.459 eV per atom